First-principles (GGA-PBE) data for NaMgSnPS2O12 after structural relaxation, as listed in the Materials Project database.

a = 15.0793 Å, b = 8.6677 Å, c = 22.8348 Å
α = 90.00°, β = 90.44°, γ = 90.00°
Closest atoms and distances in Å follow each position.
Space group Cc (No. 9)
One atom of each set of equivalent atoms:
Na: 0.0000 0.0006 0.0000 x4  4 O 2.36-2.63
Na: 0.1828 0.4821 0.6664 x4  4 O 2.37-2.60
Na: 0.3364 0.0140 0.8336 x4  4 O 2.35-2.61
Mg: 0.0107 0.0006 0.3580 x4  6 O 1.97-2.13
Mg: 0.1859 0.4991 0.5245 x4  5 O 1.95-2.11
Mg: 0.3395 0.0086 0.6921 x4  6 O 1.93-2.15
Sn: 0.0100 0.0017 0.1558 x4  6 O 1.99-2.13
Sn: 0.1807 0.4846 0.8224 x4  6 O 1.99-2.14
Sn: 0.3442 0.0033 0.4893 x4  6 O 2.00-2.13
P: 0.1557 0.1429 0.7574 x4  4 O 1.50-1.59
P: 0.3282 0.3494 0.9248 x4  4 O 1.50-1.59
P: 0.3453 0.2940 0.5909 x4  4 O 1.50-1.59
S: 0.0131 0.2979 0.2579 x4  4 O 1.45-1.52
S: 0.0308 0.3549 0.9242 x4  4 O 1.45-1.52
S: 0.1771 0.2101 0.4224 x4  4 O 1.45-1.52
S: 0.1964 0.1476 0.0901 x4  4 O 1.45-1.52
S: 0.3628 0.3509 0.2566 x4  4 O 1.45-1.52
S: 0.4917 0.1461 0.0907 x4  4 O 1.45-1.52
O: 0.0013 0.1977 0.3080 x4  1 S 1.45
O: 0.0025 0.1802 0.5934 x4  1 S 1.52
O: 0.0231 0.1876 0.9175 x4  1 S 1.46
O: 0.0292 0.2090 0.2018 x4  1 S 1.52
O: 0.0661 0.4282 0.8686 x4  1 S 1.52
O: 0.0787 0.4257 0.5833 x4  1 S 1.46
O: 0.0835 0.3947 0.9753 x4  1 S 1.45
O: 0.0967 0.3925 0.2632 x4  1 S 1.51
O: 0.1003 0.1089 0.4158 x4  1 S 1.46
O: 0.1005 0.1234 0.6984 x4  1 P 1.59
O: 0.1068 0.0707 0.0940 x4  1 S 1.51
O: 0.1075 0.0836 0.8101 x4  1 P 1.50
O: 0.1641 0.3263 0.7584 x4  1 P 1.59
O: 0.1679 0.3066 0.4738 x4  1 S 1.45
O: 0.1835 0.3137 0.0830 x4  1 S 1.46
O: 0.1915 0.3024 0.3670 x4  1 S 1.51
O: 0.2331 0.0773 0.0346 x4  1 S 1.52
O: 0.2477 0.0725 0.7515 x4  1 P 1.52
O: 0.2515 0.1157 0.1410 x4  1 S 1.45
O: 0.2603 0.1121 0.4259 x4  1 S 1.52
O: 0.2637 0.3953 0.5842 x4  1 P 1.52
O: 0.2703 0.4178 0.2605 x4  1 S 1.51
O: 0.2725 0.3631 0.8655 x4  1 P 1.59
O: 0.2808 0.4149 0.9768 x4  1 P 1.50
O: 0.3361 0.1667 0.9289 x4  1 P 1.59
O: 0.3391 0.1906 0.6433 x4  1 P 1.50
O: 0.3564 0.1842 0.2484 x4  1 S 1.46
O: 0.3643 0.2025 0.5318 x4  1 P 1.59
O: 0.3976 0.4268 0.2015 x4  1 S 1.52
O: 0.4152 0.3882 0.3081 x4  1 S 1.45
O: 0.4195 0.4202 0.9166 x4  1 P 1.52
O: 0.4316 0.3996 0.5942 x4  1 P 1.59
O: 0.4369 0.0990 0.7507 x4  1 S 1.46
O: 0.4374 0.1286 0.0348 x4  1 S 1.52
O: 0.4391 0.0756 0.4267 x4  1 S 1.51
O: 0.4463 0.0878 0.1418 x4  1 S 1.45

Properties
- DFT formation energy: -2.29 eV per atom
- Volume: 2984.5 Å³/cell


First-principles (GGA-PBE) data for SrAcGa2 after structural relaxation, as listed in the Materials Project database.

a = 7.8628 Å, b = 7.8628 Å, c = 7.8628 Å
α = 90.00°, β = 90.00°, γ = 90.00°
Closest atoms and distances in Å follow each position.
Space group Fm-3m (No. 225)
One atom of each set of equivalent atoms:
Sr: 0.0000 0.0000 0.0000 x4  8 Ga 3.40
Ac: 0.0000 0.0000 0.5000 x4  8 Ga 3.40
Ga: 0.2500 0.2500 0.2500 x8  4 Ac 3.40, 4 Sr 3.40

Properties
- DFT formation energy: -0.40 eV per atom
- Volume: 486.1 Å³/cell


First-principles (GGA-PBE) data for Ca2Ni10H after structural relaxation, as listed in the Materials Project database.

a = 8.5617 Å, b = 4.9979 Å, c = 7.8333 Å
α = 90.00°, β = 90.42°, γ = 90.00°
Closest atoms and distances in Å follow each position.
Space group Cm (No. 8)
One atom of each set of equivalent atoms:
Ca: 0.0000 0.0000 0.0000 x2  1 H 2.20
Ca: 0.0090 0.0000 0.4861 x2  18 Ni 2.85-3.17
Ni: 0.0061 0.5000 0.2372 x2  8 Ni 2.39-2.48
Ni: 0.0082 0.5000 0.7317 x2  8 Ni 2.40-2.49
Ni: 0.1671 0.5000 0.9866 x2  6 Ni 2.41-2.47
Ni: 0.1755 0.5000 0.4837 x2  6 Ni 2.38-2.42
Ni: 0.2554 0.2495 0.2355 x4  8 Ni 2.42-2.50
Ni: 0.2601 0.2598 0.7306 x4  1 H 1.61
Ni: 0.3422 0.0000 0.4832 x2  6 Ni 2.39-2.44
Ni: 0.3452 0.0000 0.9873 x2  1 H 1.63
H: 0.2094 0.0000 0.8395 x2  3 Ni 1.61-1.63

Properties
- Relative energy among the computed polymorphs: 18 meV/atom
- DFT formation energy: -0.11 eV per atom
- Volume: 335.2 Å³/cell


First-principles (GGA-PBE) data for Ba10Y5Cu15O32 after structural relaxation, as listed in the Materials Project database.

a = 5.5174 Å, b = 13.2526 Å, c = 14.0178 Å
α = 114.08°, β = 100.46°, γ = 90.37°
Closest atoms and distances in Å follow each position.
Space group P-1 (No. 2)
One atom of each set of equivalent atoms:
Ba: 0.0395 0.1978 0.0791 x2  8 O 2.71-2.96
Ba: 0.1678 0.8088 0.3204 x2  9 O 2.72-3.03
Ba: 0.2443 0.1914 0.4735 x2  9 O 2.72-3.02
Ba: 0.3709 0.8096 0.7219 x2  9 O 2.73-3.03
Ba: 0.4471 0.1905 0.8742 x2  9 O 2.73-3.03
Y: 0.1001 0.5014 0.2006 x2  8 O 2.40-2.44
Y: 0.2998 0.5002 0.6003 x2  8 O 2.41-2.44
Y: 0.5000 0.5000 0.0000 x1  8 O 2.42-2.44
Cu: 0.0256 0.6374 0.0546 x2  4 O 1.94-1.98
Cu: 0.1098 0.0000 0.2031 x2  3 O 1.83-1.90
Cu: 0.1706 0.3627 0.3449 x2  4 O 1.94-1.98
Cu: 0.2260 0.6379 0.4548 x2  4 O 1.95-1.98
Cu: 0.3103 0.0000 0.6036 x2  3 O 1.83-1.90
Cu: 0.3707 0.3620 0.7442 x2  4 O 1.95-1.98
Cu: 0.4276 0.6375 0.8550 x2  4 O 1.95-1.97
Cu: 0.5000 0.0000 0.0000 x1  2 O 1.81
O: 0.0241 0.6191 0.5478 x2  2 Cu 1.94-1.95
O: 0.0421 0.8492 0.1317 x2  1 Cu 1.83
O: 0.0760 0.3803 0.6519 x2  2 Cu 1.97
O: 0.1025 0.1507 0.2523 x2  1 Cu 1.83
O: 0.1244 0.6207 0.7486 x2  2 Cu 1.97
O: 0.1763 0.3809 0.8524 x2  2 Cu 1.94-1.95
O: 0.2234 0.6190 0.9479 x2  2 Cu 1.95
O: 0.2433 0.8492 0.5312 x2  1 Cu 1.83
O: 0.2768 0.3801 0.0524 x2  2 Cu 1.97
O: 0.3036 0.1507 0.6519 x2  1 Cu 1.83
O: 0.3252 0.6231 0.1492 x2  2 Cu 1.98
O: 0.3755 0.3810 0.2528 x2  2 Cu 1.95
O: 0.3998 0.0000 0.2999 x2  2 Cu 1.90
O: 0.4235 0.6192 0.3477 x2  2 Cu 1.95
O: 0.4701 0.8502 0.9401 x2  1 Cu 1.81
O: 0.4755 0.3775 0.4510 x2  2 Cu 1.98

Properties
- DFT formation energy: -2.21 eV per atom
- Volume: 916.5 Å³/cell


Result set for electronic total energy: -6.2801; -3.3631; -5.1152; -6.2313 eV per atom, one per record in the order listed.